# Al4Fe3O12 GGA+U optimized geometry
# **Relative energy among the computed polymorphs**: 0.003 eV/atom
data_Al4Fe3O12
_cell_length_a 5.7845
_cell_length_b 5.7840
_cell_length_c 17.3818
_cell_angle_alpha 59.96
_cell_angle_beta 59.99
_cell_angle_gamma 59.78
_space_group_name_H-M_alt 'P 1'
_space_group_IT_number 1
_space_group_name_Hall 'P 1'
loop_
_atom_site_label
_atom_site_fract_x
_atom_site_fract_y
_atom_site_fract_z
_atom_site_occupancy
Al1 0.5050 0.9939 0.5021 1
Al2 0.4967 0.0016 0.1687 1
Al3 0.4997 0.4990 0.3347 1
Al4 0.9999 0.4985 0.1686 1
Al5 0.0081 0.5037 0.8286 1
Al6 0.9966 0.5026 0.5020 1
Al7 0.5029 0.5036 0.8296 1
Al8 0.5030 0.0093 0.8284 1
Fe1 0.1250 0.1272 0.0381 1
Fe2 0.5063 0.5081 0.9955 1
Fe3 0.1228 0.1218 0.3754 1
Fe4 0.1217 0.1222 0.7120 1
Fe5 0.8766 0.8768 0.2955 1
Fe6 0.8820 0.8794 0.6187 1
O1 0.2530 0.2550 0.0903 1
O2 0.2428 0.2441 0.2419 1
O3 0.2296 0.7282 0.0809 1
O4 0.7261 0.2316 0.0811 1
O5 0.2661 0.2642 0.4173 1
O6 0.2782 0.7551 0.2534 1
O7 0.7546 0.2789 0.2533 1
O8 0.2396 0.2368 0.5766 1
O9 0.2451 0.7203 0.4142 1
O10 0.7367 0.7389 0.1054 1
O11 0.7217 0.2434 0.4142 1
O12 0.7397 0.7406 0.2507 1
O13 0.2391 0.2402 0.7657 1
O14 0.2573 0.7862 0.5763 1
O15 0.7892 0.2546 0.5763 1
O16 0.2632 0.2641 0.9038 1
O17 0.2378 0.7250 0.7674 1
O18 0.7514 0.7492 0.4281 1
O19 0.7244 0.2386 0.7674 1
O20 0.7586 0.7557 0.5705 1
O21 0.3083 0.7353 0.9080 1
O22 0.7340 0.3093 0.9082 1
O23 0.7441 0.7448 0.7555 1
O24 0.7352 0.7363 0.9082 1